No. 1
Material: BaCaFe4O12
Method: DFT, GGA+U
State: relaxed

```
BaCaFe4O12
1.0
-0.858 2.575 -4.744
1.197 -4.593 -2.710
-7.437 -2.069 0.221
O Ca Ba Fe
12 1 1 4
Direct
0.243 0.757 0.261 O
0.000 0.500 0.500 O
0.500 0.000 0.500 O
0.757 0.757 0.261 O
0.757 0.243 0.261 O
0.000 0.500 0.000 O
0.757 0.757 0.739 O
0.757 0.243 0.739 O
0.243 0.757 0.739 O
0.500 0.000 0.000 O
0.243 0.243 0.261 O
0.243 0.243 0.739 O
0.000 0.000 0.500 Ca
0.500 0.500 0.000 Ba
0.000 0.500 0.253 Fe
0.500 0.000 0.747 Fe
0.500 0.000 0.253 Fe
0.000 0.500 0.747 Fe
```

Values from the calculation:
As for the corrected total energy (MP2020 scheme): -123.2 eV/f.u. The size of the total moment is 1.10 μB/atom. The formation energy comes out at -1.444 eV per atom.

No. 2
Material: CrH12Cl3O6
Method: DFT, GGA+U
State: relaxed

```
CrH12Cl3O6
1.0
5.287 -6.074 0.000
5.287 6.074 0.000
-1.692 0.000 7.873
O H Cl Cr
12 24 6 2
Direct
0.550 0.291 0.364 O
0.050 0.864 0.791 O
0.450 0.709 0.636 O
0.364 0.550 0.291 O
0.950 0.136 0.209 O
0.864 0.791 0.050 O
0.291 0.364 0.550 O
0.636 0.450 0.709 O
0.136 0.209 0.950 O
0.209 0.950 0.136 O
0.709 0.636 0.450 O
0.791 0.050 0.864 O
0.386 0.796 0.592 H
0.592 0.386 0.796 H
0.908 0.704 0.114 H
0.263 0.221 0.959 H
0.541 0.279 0.237 H
0.886 0.092 0.296 H
0.092 0.296 0.886 H
0.737 0.779 0.041 H
0.279 0.237 0.541 H
0.614 0.204 0.408 H
0.704 0.114 0.908 H
0.221 0.959 0.263 H
0.204 0.408 0.614 H
0.459 0.721 0.763 H
0.796 0.592 0.386 H
0.779 0.041 0.737 H
0.114 0.908 0.704 H
0.763 0.459 0.721 H
0.959 0.263 0.221 H
0.296 0.886 0.092 H
0.408 0.614 0.204 H
0.041 0.737 0.779 H
0.721 0.763 0.459 H
0.237 0.541 0.279 H
0.022 0.478 0.750 Cl
0.978 0.522 0.250 Cl
0.522 0.250 0.978 Cl
0.478 0.750 0.022 Cl
0.750 0.022 0.478 Cl
0.250 0.978 0.522 Cl
0.000 0.000 0.000 Cr
0.500 0.500 0.500 Cr
```

Values from the calculation:
As for the corrected total energy (MP2020 scheme): -113.4 eV/f.u. The size of the total moment is 0.14 μB/atom. The formation energy comes out at -1.262 eV per atom.

No. 3
Material: Li3V3B2O10
Method: DFT, GGA+U
State: relaxed

```
Li3V3B2O10
1.0
-1.081 0.327 -2.906
-6.912 -5.624 1.939
-6.790 9.576 3.602
B O V Li
4 20 6 6
Direct
0.000 0.778 0.859 B
0.000 0.217 0.142 B
0.000 0.719 0.359 B
0.000 0.287 0.636 B
0.000 0.855 0.957 O
0.000 0.657 0.460 O
0.000 0.131 0.655 O
0.000 0.369 0.736 O
0.000 0.136 0.238 O
0.500 0.883 0.585 O
0.000 0.627 0.856 O
0.000 0.140 0.042 O
0.500 0.394 0.913 O
0.000 0.345 0.539 O
0.500 0.100 0.412 O
0.500 0.605 0.088 O
0.500 0.611 0.662 O
0.000 0.367 0.143 O
0.000 0.638 0.264 O
0.000 0.856 0.761 O
0.000 0.874 0.344 O
0.500 0.402 0.337 O
0.500 0.077 0.865 O
0.500 0.924 0.139 O
0.500 0.997 0.002 V
0.500 0.009 0.714 V
0.500 0.005 0.292 V
0.500 0.500 0.214 V
0.500 0.493 0.792 V
0.000 0.737 0.610 V
0.000 0.507 0.008 Li
0.500 0.478 0.491 Li
0.000 0.749 0.117 Li
0.000 0.243 0.889 Li
0.000 0.011 0.497 Li
0.000 0.279 0.385 Li
```

Values from the calculation:
As for the corrected total energy (MP2020 scheme): -141.7 eV/f.u. The size of the total moment is 0.22 μB/atom. The formation energy comes out at -2.549 eV per atom.

No. 4
Material: MgV2Co2O8
Method: DFT, GGA+U
State: relaxed

```
MgV2Co2O8
1.0
2.394 -3.030 -4.400
-2.632 -3.000 4.283
-5.256 -2.795 -0.948
O Co V Mg
8 2 2 1
Direct
0.264 0.006 0.764 O
0.736 0.994 0.236 O
0.246 0.505 0.749 O
0.262 0.004 0.234 O
0.270 0.528 0.236 O
0.738 0.996 0.766 O
0.754 0.495 0.251 O
0.730 0.472 0.764 O
0.000 0.500 0.500 Co
0.500 0.000 0.500 Co
0.623 0.755 0.122 V
0.377 0.245 0.878 V
0.000 0.500 0.000 Mg
```

Values from the calculation:
As for the corrected total energy (MP2020 scheme): -101.5 eV/f.u. The size of the total moment is 0.46 μB/atom. The formation energy comes out at -2.146 eV per atom.

Which formula does entry 4 have?
MgV2Co2O8

The lowest corrected total energy (MP2020 scheme) belongs to which entry?
Li3V3B2O10

The highest size of the total moment belongs to which entry?
BaCaFe4O12